Here is an optimized crystal structure of Nb3Co8Si from Materials Project. Energies are from PBE.

CIF file:
```
data_Nb3Co8Si
_chemical_formula_sum 'Nb3 Co8 Si1'
_cell_length_a 4.7545
_cell_length_b 4.7545
_cell_length_c 7.6139
_cell_angle_alpha 90.00
_cell_angle_beta 90.00
_cell_angle_gamma 120.00
_symmetry_space_group_name_H-M 'P 3 m 1'
_symmetry_Int_Tables_number 156
_symmetry_space_group_name_Hall 'P 3 -2"'
loop_
_atom_site_label
_atom_site_type_symbol
_atom_site_fract_x
_atom_site_fract_y
_atom_site_fract_z
_atom_site_occupancy
Nb1 Nb 0.0000 0.0000 0.0000 1
Nb2 Nb 0.0000 0.0000 0.3737 1
Nb3 Nb 0.6667 0.3333 0.5335 1
Co1 Co 0.1644 0.3288 0.6927 1
Co2 Co 0.3333 0.6667 0.4375 1
Co3 Co 0.3333 0.6667 0.9397 1
Co4 Co 0.5032 0.0064 0.1899 1
Si1 Si 0.6667 0.3333 0.9047 1
```

## Properties
Volume   12.42 Å³ per atom
Polymorph energy (0 for the lowest one)   0 meV per atom
Total DFT energy (no corrections)   -94.323 eV per cell
ρ   8.67 g/cm3
MP2020-corrected energy   -94.25 eV per cell
Total magnetization   3.46 μB/cell
Calculated formation energy   -0.14 eV per atom